Entry from the Materials Project database: Sr3Ta7SiBi9O36 after structural relaxation (PBE).

Computed properties:
Relative energy among the computed polymorphs ... 0 meV/atom
Electronic total energy ... -7.75 eV per atom
SG ... No. 1
Energy relative to the elements ... -261.99 kJ per mole of atoms
Theoretical density ... 8.57 g cm⁻³

abc: 5.558 5.533 25.315
angles: 90.50 88.79 89.77
Fractional coordinates of all 56 atoms:
Sr 0.007 0.249 0.001
Sr 0.012 0.744 0.496
Sr 0.506 0.752 0.000
Ta 0.524 0.250 0.917
Ta 0.017 0.251 0.584
Ta 0.014 0.755 0.086
Ta 0.012 0.242 0.415
Ta 0.025 0.749 0.916
Ta 0.519 0.741 0.584
Ta 0.514 0.247 0.087
Si 0.523 0.734 0.420
Bi 0.474 0.219 0.489
Bi 0.476 0.773 0.206
Bi 0.475 0.280 0.702
Bi 0.947 0.222 0.802
Bi 0.929 0.730 0.310
Bi 0.980 0.220 0.206
Bi 0.979 0.725 0.702
Bi 0.451 0.786 0.802
Bi 0.449 0.288 0.305
O 0.530 0.300 0.998
O 0.535 0.798 0.491
O 0.038 0.703 0.998
O 0.063 0.207 0.498
O 0.556 0.691 0.353
O 0.554 0.175 0.842
O 0.024 0.317 0.656
O 0.006 0.825 0.158
O 0.042 0.309 0.342
O 0.046 0.827 0.842
O 0.514 0.688 0.656
O 0.519 0.187 0.159
O 0.733 0.998 0.256
O 0.733 0.497 0.751
O 0.236 0.011 0.748
O 0.235 0.511 0.252
O 0.238 0.012 0.254
O 0.234 0.512 0.752
O 0.735 0.996 0.748
O 0.730 0.503 0.254
O 0.754 0.985 0.067
O 0.758 0.479 0.565
O 0.264 0.023 0.931
O 0.295 0.510 0.431
O 0.254 0.020 0.068
O 0.255 0.525 0.566
O 0.764 0.977 0.932
O 0.770 0.489 0.431
O 0.805 0.971 0.582
O 0.793 0.479 0.084
O 0.318 0.002 0.417
O 0.319 0.534 0.911
O 0.310 0.031 0.580
O 0.292 0.526 0.086
O 0.797 0.976 0.416
O 0.819 0.466 0.912